First-principles (GGA+U) data for an optimized crystal structure of La5Sm3V2Cr6O20, as listed in Materials Project.

Computed properties:
ΔH_f (0 K) = -102.8 eV per formula unit
calculated total energy = -1150.2 eV per cell

abc: 11.126 11.305 17.726
angles: 108.56 107.27 90.03
Fractional coordinates of all 144 atoms:
La (0.000, 0.000, 0.000)
La (0.000, 0.497, 0.998)
La (0.113, 0.125, 0.754)
La (0.121, 0.125, 0.257)
La (0.253, 0.744, 0.998)
La (0.255, 0.248, 0.000)
La (0.270, 0.250, 0.501)
La (0.384, 0.876, 0.760)
La (0.386, 0.377, 0.758)
La (0.497, 0.496, 0.998)
La (0.499, 0.002, 0.998)
La (0.512, 0.000, 0.500)
La (0.630, 0.618, 0.755)
La (0.639, 0.131, 0.757)
La (0.740, 0.244, 0.000)
La (0.748, 0.762, 0.504)
La (0.754, 0.747, 0.999)
La (0.767, 0.255, 0.505)
La (0.872, 0.877, 0.760)
La (0.880, 0.380, 0.754)
Sm (0.015, 0.497, 0.502)
Sm (0.019, 0.000, 0.493)
Sm (0.118, 0.629, 0.261)
Sm (0.124, 0.618, 0.754)
Sm (0.258, 0.738, 0.493)
Sm (0.368, 0.874, 0.264)
Sm (0.375, 0.376, 0.267)
Sm (0.507, 0.494, 0.498)
Sm (0.610, 0.626, 0.257)
Sm (0.624, 0.131, 0.263)
Sm (0.865, 0.378, 0.262)
Sm (0.873, 0.874, 0.259)
V (0.049, 0.815, 0.627)
V (0.065, 0.310, 0.627)
V (0.301, 0.056, 0.627)
V (0.318, 0.047, 0.133)
V (0.555, 0.802, 0.628)
V (0.797, 0.553, 0.131)
V (0.805, 0.074, 0.627)
V (0.814, 0.580, 0.626)
Cr (0.062, 0.806, 0.130)
Cr (0.064, 0.311, 0.131)
Cr (0.190, 0.936, 0.875)
Cr (0.191, 0.437, 0.877)
Cr (0.191, 0.934, 0.378)
Cr (0.193, 0.436, 0.378)
Cr (0.306, 0.560, 0.130)
Cr (0.322, 0.568, 0.629)
Cr (0.438, 0.186, 0.873)
Cr (0.441, 0.685, 0.378)
Cr (0.442, 0.687, 0.879)
Cr (0.448, 0.186, 0.378)
Cr (0.559, 0.308, 0.136)
Cr (0.566, 0.807, 0.132)
Cr (0.576, 0.300, 0.628)
Cr (0.692, 0.935, 0.880)
Cr (0.695, 0.439, 0.881)
Cr (0.695, 0.936, 0.377)
Cr (0.700, 0.447, 0.382)
Cr (0.805, 0.065, 0.132)
Cr (0.940, 0.687, 0.380)
Cr (0.942, 0.189, 0.880)
Cr (0.943, 0.189, 0.378)
Cr (0.945, 0.689, 0.880)
O (0.000, 0.708, 0.003)
O (0.016, 0.209, 0.005)
O (0.037, 0.030, 0.354)
O (0.038, 0.528, 0.351)
O (0.045, 0.045, 0.850)
O (0.056, 0.552, 0.854)
O (0.062, 0.702, 0.523)
O (0.077, 0.324, 0.901)
O (0.081, 0.828, 0.908)
O (0.095, 0.811, 0.406)
O (0.097, 0.314, 0.408)
O (0.112, 0.503, 0.132)
O (0.127, 0.975, 0.621)
O (0.133, 0.335, 0.755)
O (0.133, 0.992, 0.128)
O (0.143, 0.808, 0.735)
O (0.148, 0.486, 0.630)
O (0.151, 0.827, 0.254)
O (0.156, 0.331, 0.255)
O (0.239, 0.042, 0.501)
O (0.253, 0.538, 0.003)
O (0.264, 0.537, 0.503)
O (0.280, 0.053, 0.015)
O (0.287, 0.054, 0.351)
O (0.288, 0.567, 0.354)
O (0.292, 0.049, 0.839)
O (0.299, 0.554, 0.851)
O (0.327, 0.327, 0.900)
O (0.331, 0.823, 0.900)
O (0.342, 0.835, 0.406)
O (0.346, 0.342, 0.400)
O (0.363, 0.369, 0.136)
O (0.374, 0.869, 0.136)
O (0.377, 0.880, 0.622)
O (0.395, 0.662, 0.754)
O (0.397, 0.668, 0.254)
O (0.403, 0.388, 0.632)
O (0.407, 0.170, 0.253)
O (0.418, 0.162, 0.736)
O (0.490, 0.208, 0.504)
O (0.495, 0.709, 0.004)
O (0.502, 0.699, 0.500)
O (0.513, 0.216, 0.012)
O (0.541, 0.536, 0.354)
O (0.542, 0.026, 0.345)
O (0.553, 0.043, 0.857)
O (0.555, 0.549, 0.857)
O (0.579, 0.328, 0.902)
O (0.581, 0.822, 0.905)
O (0.588, 0.809, 0.398)
O (0.606, 0.004, 0.134)
O (0.607, 0.337, 0.419)
O (0.619, 0.494, 0.130)
O (0.637, 0.830, 0.756)
O (0.643, 0.966, 0.627)
O (0.644, 0.343, 0.755)
O (0.645, 0.486, 0.623)
O (0.647, 0.330, 0.260)
O (0.663, 0.822, 0.255)
O (0.728, 0.042, 0.498)
O (0.756, 0.541, 0.006)
O (0.758, 0.037, 0.005)
O (0.783, 0.563, 0.340)
O (0.787, 0.559, 0.501)
O (0.792, 0.063, 0.351)
O (0.803, 0.053, 0.857)
O (0.806, 0.555, 0.856)
O (0.828, 0.324, 0.908)
O (0.831, 0.825, 0.902)
O (0.849, 0.846, 0.418)
O (0.851, 0.344, 0.402)
O (0.866, 0.380, 0.133)
O (0.870, 0.877, 0.133)
O (0.884, 0.170, 0.757)
O (0.899, 0.668, 0.757)
O (0.899, 0.906, 0.635)
O (0.900, 0.174, 0.255)
O (0.904, 0.413, 0.630)
O (0.909, 0.671, 0.240)
O (0.989, 0.205, 0.500)

First-principles (GGA+U) data for an optimized crystal structure of La6Sm2V3Cr5O24, as listed in Materials Project.

Computed properties:
ΔH_f (0 K) = -123.8 eV per formula unit
calculated total energy = -325.5 eV per cell

abc: 7.874 7.816 7.918
angles: 90.00 90.04 90.00
Fractional coordinates of all 40 atoms:
La (0.000, 0.250, 0.000)
La (0.000, 0.250, 0.495)
La (0.000, 0.750, 0.000)
La (0.000, 0.750, 0.495)
La (0.503, 0.250, 0.495)
La (0.503, 0.750, 0.495)
Sm (0.503, 0.250, 0.001)
Sm (0.503, 0.750, 0.001)
V (0.252, 0.000, 0.748)
V (0.252, 0.500, 0.749)
V (0.751, 0.500, 0.748)
Cr (0.252, 0.000, 0.247)
Cr (0.252, 0.500, 0.247)
Cr (0.751, 0.000, 0.247)
Cr (0.751, 0.000, 0.748)
Cr (0.751, 0.500, 0.247)
O (0.001, 0.000, 0.248)
O (0.002, 0.500, 0.247)
O (0.250, 0.500, 0.496)
O (0.253, 0.000, 0.495)
O (0.253, 0.250, 0.749)
O (0.253, 0.750, 0.749)
O (0.254, 0.000, 0.001)
O (0.254, 0.250, 0.246)
O (0.254, 0.750, 0.246)
O (0.257, 0.500, 0.000)
O (0.501, 0.500, 0.244)
O (0.502, 0.000, 0.244)
O (0.504, 0.000, 0.750)
O (0.504, 0.500, 0.752)
O (0.748, 0.000, 0.998)
O (0.748, 0.500, 0.002)
O (0.749, 0.250, 0.246)
O (0.749, 0.750, 0.246)
O (0.750, 0.249, 0.750)
O (0.750, 0.751, 0.750)
O (0.751, 0.000, 0.497)
O (0.751, 0.500, 0.493)
O (0.999, 0.000, 0.749)
O (0.999, 0.500, 0.747)

Question: The highest calculated total energy belongs to which entry?
Answer: La6Sm2V3Cr5O24

Question: The highest calculated total energy belongs to which entry?
Answer: La6Sm2V3Cr5O24

What did the second record say?
First-principles (GGA+U) data for an optimized crystal structure of La6Sm2V3Cr5O24, as listed in Materials Project.

Computed properties:
ΔH_f (0 K) = -123.8 eV per formula unit
calculated total energy = -325.5 eV per cell

abc: 7.874 7.816 7.918
angles: 90.00 90.04 90.00
Fractional coordinates of all 40 atoms:
La (0.000, 0.250, 0.000)
La (0.000, 0.250, 0.495)
La (0.000, 0.750, 0.000)
La (0.000, 0.750, 0.495)
La (0.503, 0.250, 0.495)
La (0.503, 0.750, 0.495)
Sm (0.503, 0.250, 0.001)
Sm (0.503, 0.750, 0.001)
V (0.252, 0.000, 0.748)
V (0.252, 0.500, 0.749)
V (0.751, 0.500, 0.748)
Cr (0.252, 0.000, 0.247)
Cr (0.252, 0.500, 0.247)
Cr (0.751, 0.000, 0.247)
Cr (0.751, 0.000, 0.748)
Cr (0.751, 0.500, 0.247)
O (0.001, 0.000, 0.248)
O (0.002, 0.500, 0.247)
O (0.250, 0.500, 0.496)
O (0.253, 0.000, 0.495)
O (0.253, 0.250, 0.749)
O (0.253, 0.750, 0.749)
O (0.254, 0.000, 0.001)
O (0.254, 0.250, 0.246)
O (0.254, 0.750, 0.246)
O (0.257, 0.500, 0.000)
O (0.501, 0.500, 0.244)
O (0.502, 0.000, 0.244)
O (0.504, 0.000, 0.750)
O (0.504, 0.500, 0.752)
O (0.748, 0.000, 0.998)
O (0.748, 0.500, 0.002)
O (0.749, 0.250, 0.246)
O (0.749, 0.750, 0.246)
O (0.750, 0.249, 0.750)
O (0.750, 0.751, 0.750)
O (0.751, 0.000, 0.497)
O (0.751, 0.500, 0.493)
O (0.999, 0.000, 0.749)
O (0.999, 0.500, 0.747)

Question: Among the records above, which one has the lowest calculated total energy?
Answer: La5Sm3V2Cr6O20